# 1
A plane-wave DFT calculation with PBE+U was carried out for a geometry-optimized Fe3O4 structure.

Output
Symmetry ... Pbcm
Volume ... 11.31 Å³ per atom
Final energy ... -6.684 eV/atom
Energy of formation ... -1.5858 eV per atom

Cell lengths 6.0620, 6.0855, 17.1623 Å; angles 90.00, 90.00, 90.00 degrees
Last column: nearest neighbours and their distance in Å.
Positions (direct):
Fe  0.5000  0.5000  0.5000  6 O 2.12-2.19
Fe  0.7500  0.7442  0.6235  6 O 2.10-2.19
Fe  0.2500  0.5116  0.1884  4 O 1.91-1.98
Fe  0.7500  0.2558  0.1235  6 O 2.10-2.19
Fe  0.0000  0.0088  0.2500  6 O 2.05-2.07
Fe  0.2500  0.9972  0.0636  4 O 1.90-1.97
Fe  0.7500  0.0028  0.9364  4 O 1.90-1.97
Fe  0.0000  0.9912  0.7500  6 O 2.05-2.07
Fe  0.7500  0.7514  0.1221  6 O 2.01-2.12
Fe  0.2500  0.4884  0.6884  4 O 1.91-1.98
Fe  0.2500  0.2486  0.8779  6 O 2.01-2.12
Fe  0.2500  0.7514  0.3779  6 O 2.01-2.12
Fe  0.2500  0.0028  0.5636  4 O 1.90-1.97
Fe  0.5000  0.0088  0.2500  6 O 2.05-2.07
Fe  0.5000  0.5000  0.0000  6 O 2.12-2.19
Fe  0.2500  0.2558  0.3765  6 O 2.10-2.19
Fe  0.7500  0.5116  0.3116  4 O 1.91-1.98
Fe  0.7500  0.9972  0.4364  4 O 1.90-1.97
Fe  0.0000  0.5000  0.0000  6 O 2.12-2.19
Fe  0.5000  0.9912  0.7500  6 O 2.05-2.07
Fe  0.7500  0.2486  0.6221  6 O 2.01-2.12
Fe  0.0000  0.5000  0.5000  6 O 2.12-2.19
Fe  0.2500  0.7442  0.8765  6 O 2.10-2.19
Fe  0.7500  0.4884  0.8116  4 O 1.91-1.98
O  0.2500  0.7535  0.4950  2 Fe 1.92-2.01
O  0.0123  0.9962  0.3691  4 Fe 1.97-2.14
O  0.2500  0.2233  0.7549  4 Fe 1.98-2.12
O  0.9877  0.9962  0.1309  4 Fe 1.97-2.14
O  0.7500  0.2233  0.7451  4 Fe 1.98-2.12
O  0.2500  0.7623  0.7489  4 Fe 1.96-2.19
O  0.5123  0.0038  0.6309  4 Fe 1.97-2.14
O  0.4859  0.5138  0.3726  3 Fe 1.91-2.12
O  0.7500  0.2568  0.0012  4 Fe 1.90-2.12
O  0.5123  0.9962  0.1309  4 Fe 1.97-2.14
O  0.9859  0.4862  0.6274  3 Fe 1.91-2.12
O  0.7500  0.2465  0.5050  2 Fe 1.92-2.01
O  0.9859  0.5138  0.1274  3 Fe 1.91-2.12
O  0.2500  0.2377  0.2489  4 Fe 1.96-2.19
O  0.5141  0.4862  0.6274  3 Fe 1.91-2.12
O  0.7500  0.7623  0.7511  4 Fe 1.96-2.19
O  0.4859  0.4862  0.8726  3 Fe 1.91-2.12
O  0.5141  0.5138  0.1274  3 Fe 1.91-2.12
O  0.2500  0.7767  0.2549  4 Fe 1.98-2.12
O  0.9877  0.0038  0.6309  4 Fe 1.97-2.14
O  0.4877  0.0038  0.8691  4 Fe 1.97-2.14
O  0.2500  0.7432  0.9988  4 Fe 1.90-2.12
O  0.0141  0.4862  0.8726  3 Fe 1.91-2.12
O  0.0141  0.5138  0.3726  3 Fe 1.91-2.12
O  0.2500  0.2465  0.9950  2 Fe 1.92-2.01
O  0.0123  0.0038  0.8691  4 Fe 1.97-2.14
O  0.2500  0.2568  0.4988  4 Fe 1.90-2.12
O  0.7500  0.7767  0.2451  4 Fe 1.98-2.12
O  0.7500  0.7432  0.5012  4 Fe 1.90-2.12
O  0.7500  0.2377  0.2511  4 Fe 1.96-2.19
O  0.7500  0.7535  0.0050  2 Fe 1.92-2.01
O  0.4877  0.9962  0.3691  4 Fe 1.97-2.14

---

# 2
A plane-wave DFT calculation with PBE+U was carried out for a geometry-optimized Fe14O15 structure.

Output
Symmetry ... I4/m
Volume ... 10.57 Å³ per atom
Final energy ... -6.666 eV/atom
Energy of formation ... -1.4621 eV per atom

Cell lengths 8.1061, 8.1061, 8.1061 Å; angles 129.83, 129.83, 73.68 degrees
Last column: nearest neighbours and their distance in Å.
Positions (direct):
Fe  0.3375  0.3375  0.0000  6 O 2.02-2.14
Fe  0.0704  0.8729  0.6117  6 O 2.13-2.22
Fe  0.3853  0.1988  0.5840  6 O 2.07-2.22
Fe  0.5414  0.9296  0.8025  6 O 2.13-2.22
Fe  0.7389  0.5414  0.6117  6 O 2.13-2.22
Fe  0.1988  0.6147  0.8135  6 O 2.07-2.22
Fe  0.8729  0.2611  0.8025  6 O 2.13-2.22
Fe  0.6147  0.8012  0.4160  6 O 2.07-2.22
Fe  0.8012  0.3853  0.1865  6 O 2.07-2.22
Fe  0.2611  0.4586  0.3883  6 O 2.13-2.22
Fe  0.9296  0.1271  0.3883  6 O 2.13-2.22
Fe  0.1271  0.7389  0.1975  6 O 2.13-2.22
Fe  0.6625  0.6625  0.0000  6 O 2.02-2.14
Fe  0.4586  0.0704  0.1975  6 O 2.13-2.22
O  0.9612  0.5698  0.2020  6 Fe 2.14-2.22
O  0.6322  0.2409  0.2020  6 Fe 2.14-2.22
O  0.8883  0.6764  0.5647  5 Fe 2.07-2.18
O  0.3236  0.8883  0.2119  5 Fe 2.07-2.18
O  0.2409  0.0388  0.6087  6 Fe 2.14-2.22
O  0.3678  0.7591  0.7980  6 Fe 2.14-2.22
O  0.1817  0.1817  0.0000  5 Fe 2.02-2.13
O  0.6764  0.1117  0.7881  5 Fe 2.07-2.18
O  0.7591  0.9612  0.3913  6 Fe 2.14-2.22
O  0.8183  0.8183  0.0000  5 Fe 2.02-2.13
O  0.1117  0.3236  0.4353  5 Fe 2.07-2.18
O  0.5000  0.5000  0.0000  6 Fe 2.11-2.22
O  0.5698  0.3678  0.6087  6 Fe 2.14-2.22
O  0.4302  0.6322  0.3913  6 Fe 2.14-2.22
O  0.0388  0.4302  0.7980  6 Fe 2.14-2.22